# 1
This record from Materials Project describes LiV2P5O16 after structural relaxation. The functional is PBE+U.

Values from the calculation:
E_form: -2.68 eV/atom
polymorph energy (0 for the lowest one): 0.000 eV/atom

Lattice parameters (Å, degrees): 5.082 6.816 18.861 90.00 90.22 90.00
Space group Pc (No. 7)
One atom of each set of equivalent atoms:
1 Li 0.000 0.152 0.000 (multiplicity 2)
2 V 0.471 0.321 0.878 (multiplicity 2)
3 V 0.997 0.318 0.564 (multiplicity 2)
4 P 0.480 0.026 0.601 (multiplicity 2)
5 P 0.502 0.374 0.050 (multiplicity 2)
6 P 0.721 0.241 0.720 (multiplicity 2)
7 P 0.957 0.371 0.393 (multiplicity 2)
8 P 0.982 0.034 0.841 (multiplicity 2)
9 O 0.056 0.273 0.461 (multiplicity 2)
10 O 0.145 0.483 0.860 (multiplicity 2)
11 O 0.196 0.058 0.579 (multiplicity 2)
12 O 0.271 0.072 0.853 (multiplicity 2)
13 O 0.338 0.462 0.582 (multiplicity 2)
14 O 0.371 0.278 0.985 (multiplicity 2)
15 O 0.511 0.204 0.112 (multiplicity 2)
16 O 0.513 0.097 0.682 (multiplicity 2)
17 O 0.571 0.359 0.773 (multiplicity 2)
18 O 0.676 0.445 0.401 (multiplicity 2)
19 O 0.693 0.109 0.555 (multiplicity 2)
20 O 0.795 0.420 0.040 (multiplicity 2)
21 O 0.801 0.136 0.893 (multiplicity 2)
22 O 0.879 0.349 0.665 (multiplicity 2)
23 O 0.913 0.090 0.760 (multiplicity 2)
24 O 0.931 0.194 0.335 (multiplicity 2)


# 2
This record from Materials Project describes Li5V3P8O29 after structural relaxation. The functional is PBE+U.

Values from the calculation:
E_form: -2.62 eV/atom
polymorph energy (0 for the lowest one): 0.003 eV/atom

Lattice parameters (Å, degrees): 9.781 9.821 14.085 89.53 89.55 60.15
Space group P1 (No. 1)
One atom of each set of equivalent atoms:
1 Li 0.000 0.000 0.000 (multiplicity 1)
2 Li 0.002 0.858 0.503 (multiplicity 1)
3 Li 0.089 0.105 0.385 (multiplicity 1)
4 Li 0.097 0.677 0.880 (multiplicity 1)
5 Li 0.231 0.092 0.875 (multiplicity 1)
6 Li 0.367 0.754 0.440 (multiplicity 1)
7 Li 0.419 0.444 0.999 (multiplicity 1)
8 Li 0.551 0.856 0.001 (multiplicity 1)
9 Li 0.557 0.441 0.506 (multiplicity 1)
10 Li 0.655 0.097 0.331 (multiplicity 1)
11 V 0.314 0.343 0.195 (multiplicity 1)
12 V 0.329 0.201 0.683 (multiplicity 1)
13 V 0.751 0.768 0.194 (multiplicity 1)
14 V 0.755 0.340 0.695 (multiplicity 1)
15 V 0.885 0.770 0.689 (multiplicity 1)
16 V 0.889 0.203 0.188 (multiplicity 1)
17 P 0.002 0.000 0.782 (multiplicity 1)
18 P 0.004 0.862 0.285 (multiplicity 1)
19 P 0.090 0.685 0.103 (multiplicity 1)
20 P 0.093 0.087 0.600 (multiplicity 1)
21 P 0.237 0.089 0.096 (multiplicity 1)
22 P 0.237 0.548 0.602 (multiplicity 1)
23 P 0.406 0.994 0.280 (multiplicity 1)
24 P 0.408 0.448 0.784 (multiplicity 1)
25 P 0.549 0.451 0.287 (multiplicity 1)
26 P 0.551 0.858 0.784 (multiplicity 1)
27 P 0.628 0.685 0.601 (multiplicity 1)
28 P 0.635 0.541 0.103 (multiplicity 1)
29 P 0.652 0.103 0.071 (multiplicity 1)
30 P 0.660 0.106 0.568 (multiplicity 1)
31 P 0.986 0.432 0.314 (multiplicity 1)
32 P 0.995 0.431 0.810 (multiplicity 1)
33 O 0.004 0.422 0.418 (multiplicity 1)
34 O 0.066 0.690 0.604 (multiplicity 1)
35 O 0.072 0.103 0.099 (multiplicity 1)
36 O 0.078 0.014 0.871 (multiplicity 1)
37 O 0.084 0.770 0.012 (multiplicity 1)
38 O 0.088 0.784 0.375 (multiplicity 1)
39 O 0.090 0.003 0.512 (multiplicity 1)
40 O 0.112 0.771 0.193 (multiplicity 1)
41 O 0.113 0.978 0.692 (multiplicity 1)
42 O 0.137 0.433 0.265 (multiplicity 1)
43 O 0.141 0.282 0.768 (multiplicity 1)
44 O 0.226 0.247 0.119 (multiplicity 1)
45 O 0.232 0.395 0.610 (multiplicity 1)
46 O 0.234 0.114 0.601 (multiplicity 1)
47 O 0.237 0.517 0.103 (multiplicity 1)
48 O 0.311 0.569 0.700 (multiplicity 1)
49 O 0.314 0.982 0.361 (multiplicity 1)
50 O 0.322 0.018 0.004 (multiplicity 1)
51 O 0.326 0.523 0.875 (multiplicity 1)
52 O 0.329 0.563 0.521 (multiplicity 1)
53 O 0.333 0.974 0.182 (multiplicity 1)
54 O 0.401 0.430 0.273 (multiplicity 1)
55 O 0.404 0.022 0.776 (multiplicity 1)
56 O 0.415 0.148 0.272 (multiplicity 1)
57 O 0.417 0.291 0.766 (multiplicity 1)
58 O 0.503 0.252 0.117 (multiplicity 1)
59 O 0.515 0.098 0.609 (multiplicity 1)
60 O 0.525 0.761 0.518 (multiplicity 1)
61 O 0.533 0.760 0.699 (multiplicity 1)
62 O 0.537 0.564 0.201 (multiplicity 1)
63 O 0.538 0.531 0.378 (multiplicity 1)
64 O 0.546 0.533 0.021 (multiplicity 1)
65 O 0.565 0.780 0.877 (multiplicity 1)
66 O 0.577 0.426 0.776 (multiplicity 1)
67 O 0.579 0.856 0.279 (multiplicity 1)
68 O 0.646 0.116 0.965 (multiplicity 1)
69 O 0.647 0.955 0.109 (multiplicity 1)
70 O 0.651 0.260 0.610 (multiplicity 1)
71 O 0.657 0.686 0.103 (multiplicity 1)
72 O 0.658 0.119 0.461 (multiplicity 1)
73 O 0.663 0.510 0.607 (multiplicity 1)
74 O 0.695 0.287 0.272 (multiplicity 1)
75 O 0.702 0.869 0.759 (multiplicity 1)
76 O 0.784 0.686 0.608 (multiplicity 1)
77 O 0.796 0.388 0.120 (multiplicity 1)
78 O 0.807 0.096 0.110 (multiplicity 1)
79 O 0.814 0.960 0.603 (multiplicity 1)
80 O 0.839 0.880 0.271 (multiplicity 1)
81 O 0.841 0.149 0.764 (multiplicity 1)
82 O 0.842 0.577 0.271 (multiplicity 1)
83 O 0.845 0.430 0.764 (multiplicity 1)
84 O 0.936 0.242 0.616 (multiplicity 1)
85 O 0.939 0.678 0.121 (multiplicity 1)
86 O 0.984 0.030 0.277 (multiplicity 1)
87 O 0.985 0.852 0.783 (multiplicity 1)
88 O 0.990 0.427 0.915 (multiplicity 1)
89 O 0.992 0.583 0.771 (multiplicity 1)
90 O 0.996 0.279 0.273 (multiplicity 1)


# 3
This record from Materials Project describes Li5V3P8O29 after structural relaxation. The functional is PBE+U.

Values from the calculation:
E_form: -2.62 eV/atom
polymorph energy (0 for the lowest one): 0.003 eV/atom

Lattice parameters (Å, degrees): 9.719 9.741 14.141 88.60 88.50 60.60
Space group P1 (No. 1)
One atom of each set of equivalent atoms:
1 Li 0.000 0.000 0.000 (multiplicity 1)
2 Li 0.008 0.854 0.506 (multiplicity 1)
3 Li 0.327 0.200 0.129 (multiplicity 1)
4 Li 0.347 0.327 0.628 (multiplicity 1)
5 Li 0.431 0.433 0.007 (multiplicity 1)
6 Li 0.578 0.423 0.500 (multiplicity 1)
7 Li 0.659 0.091 0.062 (multiplicity 1)
8 Li 0.667 0.082 0.561 (multiplicity 1)
9 Li 0.779 0.748 0.628 (multiplicity 1)
10 Li 0.905 0.770 0.128 (multiplicity 1)
11 V 0.104 0.661 0.314 (multiplicity 1)
12 V 0.107 0.097 0.813 (multiplicity 1)
13 V 0.235 0.091 0.323 (multiplicity 1)
14 V 0.238 0.526 0.814 (multiplicity 1)
15 V 0.668 0.660 0.821 (multiplicity 1)
16 V 0.675 0.534 0.312 (multiplicity 1)
17 P 0.000 0.435 0.699 (multiplicity 1)
18 P 0.012 0.425 0.199 (multiplicity 1)
19 P 0.333 0.757 0.935 (multiplicity 1)
20 P 0.336 0.757 0.435 (multiplicity 1)
21 P 0.354 0.319 0.407 (multiplicity 1)
22 P 0.358 0.178 0.914 (multiplicity 1)
23 P 0.447 0.411 0.225 (multiplicity 1)
24 P 0.460 0.011 0.731 (multiplicity 1)
25 P 0.587 0.885 0.232 (multiplicity 1)
26 P 0.588 0.410 0.716 (multiplicity 1)
27 P 0.750 0.309 0.901 (multiplicity 1)
28 P 0.754 0.784 0.415 (multiplicity 1)
29 P 0.883 0.174 0.401 (multiplicity 1)
30 P 0.895 0.777 0.908 (multiplicity 1)
31 P 0.986 0.011 0.216 (multiplicity 1)
32 P 0.989 0.868 0.726 (multiplicity 1)
33 O 0.013 0.840 0.225 (multiplicity 1)
34 O 0.020 0.008 0.730 (multiplicity 1)
35 O 0.033 0.407 0.095 (multiplicity 1)
36 O 0.049 0.166 0.395 (multiplicity 1)
37 O 0.049 0.623 0.897 (multiplicity 1)
38 O 0.141 0.014 0.237 (multiplicity 1)
39 O 0.146 0.713 0.740 (multiplicity 1)
40 O 0.158 0.284 0.249 (multiplicity 1)
41 O 0.162 0.421 0.732 (multiplicity 1)
42 O 0.181 0.769 0.396 (multiplicity 1)
43 O 0.182 0.904 0.897 (multiplicity 1)
44 O 0.199 0.473 0.397 (multiplicity 1)
45 O 0.204 0.175 0.897 (multiplicity 1)
46 O 0.289 0.567 0.240 (multiplicity 1)
47 O 0.299 0.019 0.735 (multiplicity 1)
48 O 0.325 0.175 0.405 (multiplicity 1)
49 O 0.328 0.350 0.901 (multiplicity 1)
50 O 0.333 0.763 0.540 (multiplicity 1)
51 O 0.342 0.904 0.386 (multiplicity 1)
52 O 0.344 0.750 0.040 (multiplicity 1)
53 O 0.347 0.603 0.896 (multiplicity 1)
54 O 0.413 0.023 0.231 (multiplicity 1)
55 O 0.417 0.436 0.725 (multiplicity 1)
56 O 0.435 0.114 0.008 (multiplicity 1)
57 O 0.442 0.328 0.137 (multiplicity 1)
58 O 0.445 0.310 0.495 (multiplicity 1)
59 O 0.465 0.299 0.316 (multiplicity 1)
60 O 0.479 0.765 0.885 (multiplicity 1)
61 O 0.480 0.079 0.831 (multiplicity 1)
62 O 0.483 0.607 0.394 (multiplicity 1)
63 O 0.486 0.104 0.653 (multiplicity 1)
64 O 0.584 0.443 0.226 (multiplicity 1)
65 O 0.589 0.726 0.237 (multiplicity 1)
66 O 0.591 0.564 0.736 (multiplicity 1)
67 O 0.598 0.837 0.730 (multiplicity 1)
68 O 0.654 0.292 0.980 (multiplicity 1)
69 O 0.654 0.906 0.332 (multiplicity 1)
70 O 0.659 0.336 0.623 (multiplicity 1)
71 O 0.680 0.906 0.153 (multiplicity 1)
72 O 0.684 0.290 0.801 (multiplicity 1)
73 O 0.692 0.863 0.508 (multiplicity 1)
74 O 0.742 0.473 0.895 (multiplicity 1)
75 O 0.750 0.751 0.905 (multiplicity 1)
76 O 0.751 0.346 0.404 (multiplicity 1)
77 O 0.751 0.630 0.401 (multiplicity 1)
78 O 0.860 0.584 0.750 (multiplicity 1)
79 O 0.862 0.424 0.244 (multiplicity 1)
80 O 0.866 0.107 0.301 (multiplicity 1)
81 O 0.868 0.076 0.480 (multiplicity 1)
82 O 0.876 0.888 0.816 (multiplicity 1)
83 O 0.886 0.869 0.995 (multiplicity 1)
84 O 0.906 0.868 0.638 (multiplicity 1)
85 O 0.913 0.082 0.123 (multiplicity 1)
86 O 0.923 0.175 0.904 (multiplicity 1)
87 O 0.927 0.754 0.400 (multiplicity 1)
88 O 0.981 0.464 0.595 (multiplicity 1)
89 O 0.995 0.290 0.742 (multiplicity 1)
90 O 0.996 0.585 0.232 (multiplicity 1)


Looking at total energy after the MP2020 corrections for the records above, in order, we have -0.292 -0.279 -0.279 hartree per atom.